one | # Li3Fe4O3F9

A relaxed Li3Fe4O3F9 crystal (PBE with a Hubbard U, Materials Project).

## Properties
- M_tot (μB/f.u.) = 20.00

a = 5.9899 Å, b = 5.9990 Å, c = 6.0311 Å
α = 98.70°, β = 99.10°, γ = 98.85°
Fractional coordinates of all 19 atoms:
Li  0.6946  0.4163  0.8753
Li  0.8588  0.6554  0.3844
Li  0.6105  0.1510  0.3377
Fe  0.3919  0.8358  0.6441
Fe  0.1449  0.3595  0.6199
Fe  0.3202  0.5766  0.1246
Fe  0.9991  0.0116  0.0049
O  0.1974  0.5845  0.4069
O  0.4050  0.5972  0.8205
O  0.1061  0.3092  0.9384
F  0.0655  0.8845  0.6987
F  0.3047  0.9305  0.1221
F  0.6075  0.8270  0.4256
F  0.3803  0.1596  0.5684
F  0.8853  0.7055  0.0559
F  0.5725  0.4061  0.1816
F  0.8252  0.4197  0.5978
F  0.6748  0.0403  0.8751
F  0.9557  0.1297  0.3180



two | # Li3Fe4O3F9

A relaxed Li3Fe4O3F9 crystal (PBE with a Hubbard U, Materials Project).

## Properties
- M_tot (μB/f.u.) = 20.00

a = 5.9242 Å, b = 5.9929 Å, c = 6.0809 Å
α = 99.72°, β = 99.86°, γ = 99.62°
Fractional coordinates of all 19 atoms:
Li  0.0086  0.9937  0.0032
Li  0.8685  0.6807  0.3924
Li  0.2953  0.6016  0.1186
Fe  0.6664  0.4099  0.8459
Fe  0.1418  0.3408  0.6173
Fe  0.6069  0.1501  0.3475
Fe  0.3923  0.8625  0.6816
O  0.3986  0.1708  0.5791
O  0.4178  0.5918  0.8063
O  0.8190  0.4031  0.5884
F  0.6801  0.0685  0.8945
F  0.1046  0.3059  0.9278
F  0.9361  0.1044  0.3172
F  0.1865  0.5770  0.4045
F  0.0706  0.8814  0.6905
F  0.5713  0.3969  0.1709
F  0.6056  0.8357  0.4496
F  0.8886  0.6709  0.0472
F  0.3415  0.9542  0.1175



three | # Li3Fe4O3F9

A relaxed Li3Fe4O3F9 crystal (PBE with a Hubbard U, Materials Project).

## Properties
- M_tot (μB/f.u.) = 20.00

a = 5.9541 Å, b = 6.0091 Å, c = 6.0379 Å
α = 99.88°, β = 99.28°, γ = 98.92°
Fractional coordinates of all 19 atoms:
Li  0.8515  0.6596  0.4093
Li  0.6945  0.4001  0.8691
Li  0.1210  0.3291  0.5989
Fe  0.5952  0.1267  0.3194
Fe  0.3239  0.6355  0.1511
Fe  0.9983  0.0018  0.9940
Fe  0.4279  0.8821  0.6913
O  0.3172  0.9507  0.1023
O  0.5753  0.8231  0.4185
O  0.6943  0.0538  0.8937
F  0.9221  0.6825  0.0493
F  0.9339  0.1056  0.3087
F  0.5634  0.4086  0.1793
F  0.7935  0.3909  0.5739
F  0.3873  0.1745  0.5652
F  0.1749  0.5660  0.4035
F  0.4222  0.6018  0.8288
F  0.0789  0.8817  0.6867
F  0.1248  0.3259  0.9571



Relative to the most stable one, in eV/atom, the structures come out at one 0.000; two 0.009; three 0.025.



one | # Li2Fe4O3F8

A relaxed Li2Fe4O3F8 crystal (PBE with a Hubbard U, Materials Project).

## Properties
- M_tot (μB/f.u.) = 20.00

a = 5.0815 Å, b = 6.6780 Å, c = 6.8610 Å
α = 108.64°, β = 105.74°, γ = 96.67°
Fractional coordinates of all 17 atoms:
Li  0.6634  0.1792  0.3911
Li  0.3366  0.8208  0.6089
Fe  0.9093  0.2498  0.9718
Fe  0.3446  0.3778  0.7591
Fe  0.6554  0.6222  0.2409
Fe  0.0907  0.7502  0.0282
O  0.0000  0.0000  0.0000
O  0.7357  0.5282  0.9498
O  0.2643  0.4718  0.0502
F  0.4864  0.1163  0.8013
F  0.9462  0.2038  0.6617
F  0.3722  0.2887  0.4780
F  0.8039  0.3579  0.2546
F  0.1961  0.6421  0.7454
F  0.6278  0.7113  0.5220
F  0.0538  0.7962  0.3383
F  0.5136  0.8837  0.1987



two | # Li2Fe4O3F8

A relaxed Li2Fe4O3F8 crystal (PBE with a Hubbard U, Materials Project).

## Properties
- M_tot (μB/f.u.) = 18.48

a = 6.6780 Å, b = 6.8610 Å, c = 5.0815 Å
α = 105.74°, β = 96.67°, γ = 108.64°
Fractional coordinates of all 17 atoms:
Li  0.3911  0.6634  0.1792
Li  0.6089  0.3366  0.8208
Fe  0.9718  0.9093  0.2498
Fe  0.7591  0.3446  0.3778
Fe  0.2409  0.6554  0.6222
Fe  0.0282  0.0907  0.7502
O  0.0000  0.0000  0.0000
O  0.9498  0.7357  0.5282
O  0.0502  0.2643  0.4718
F  0.8013  0.4864  0.1163
F  0.6617  0.9462  0.2038
F  0.4780  0.3722  0.2887
F  0.2546  0.8039  0.3579
F  0.7454  0.1961  0.6421
F  0.5220  0.6278  0.7113
F  0.3383  0.0538  0.7962
F  0.1987  0.5136  0.8837



Relative to the most stable one, in eV/atom, the structures come out at one 0.000; two 0.817.